(1)
Below is HfRh3 after structural relaxation, with properties calculated at the meta-GGA r2SCAN level.

Its total energy is -120.78 eV per formula unit.

```
HfRh3
1.0
3.914 0.000 0.000
0.000 3.914 0.000
0.000 0.000 3.914
Hf Rh
1 3
Direct
0.000 0.000 0.000
0.000 0.500 0.500
0.500 0.000 0.500
0.500 0.500 0.000
```



(2)
Below is MoOF4 after structural relaxation, with properties calculated at the meta-GGA r2SCAN level.

Its total energy is -60.11 eV per formula unit.

```
MoOF4
1.0
5.419 0.000 0.000
0.000 16.662 0.000
-0.253 0.000 7.764
Mo O F
8 8 32
Direct
0.236 0.110 0.097
0.236 0.390 0.597
0.243 0.642 0.010
0.243 0.858 0.510
0.757 0.142 0.490
0.757 0.358 0.990
0.764 0.610 0.403
0.764 0.890 0.903
0.066 0.638 0.835
0.066 0.862 0.335
0.392 0.075 0.936
0.392 0.425 0.436
0.608 0.575 0.564
0.608 0.925 0.064
0.934 0.138 0.665
0.934 0.362 0.165
0.009 0.160 0.321
0.009 0.340 0.821
0.080 0.583 0.472
0.080 0.917 0.972
0.195 0.216 0.034
0.195 0.284 0.534
0.235 0.539 0.091
0.235 0.961 0.591
0.250 0.025 0.250
0.250 0.475 0.750
0.298 0.749 0.534
0.298 0.751 0.034
0.452 0.127 0.580
0.452 0.373 0.080
0.494 0.651 0.258
0.494 0.849 0.758
0.506 0.151 0.242
0.506 0.349 0.742
0.548 0.627 0.920
0.548 0.873 0.420
0.702 0.249 0.966
0.702 0.251 0.466
0.750 0.525 0.250
0.750 0.975 0.750
0.765 0.039 0.409
0.765 0.461 0.909
0.805 0.716 0.466
0.805 0.784 0.966
0.920 0.083 0.028
0.920 0.417 0.528
0.991 0.660 0.179
0.991 0.840 0.679
```



(3)
Below is SiO2 after structural relaxation, with properties calculated at the meta-GGA r2SCAN level.

Its total energy is -29.78 eV per formula unit.

```
SiO2
1.0
4.004 -4.336 0.000
4.004 4.336 0.000
0.000 0.000 4.726
Si O
4 8
Direct
0.027 0.348 0.365
0.348 0.027 0.635
0.652 0.973 0.135
0.973 0.652 0.865
0.101 0.516 0.107
0.140 0.860 0.750
0.252 0.252 0.500
0.484 0.899 0.393
0.516 0.101 0.893
0.748 0.748 0.000
0.860 0.140 0.250
0.899 0.484 0.607
```



(4)
Below is LuAl3Ni2 after structural relaxation, with properties calculated at the meta-GGA r2SCAN level.

Its total energy is -86.42 eV per formula unit.

```
LuAl3Ni2
1.0
8.863 0.000 0.000
-4.432 7.676 0.000
0.000 0.000 4.023
Lu Al Ni
3 9 6
Direct
0.000 0.000 0.000
0.333 0.667 0.500
0.667 0.333 0.500
0.000 0.298 0.500
0.000 0.500 0.000
0.000 0.702 0.500
0.298 0.000 0.500
0.298 0.298 0.500
0.500 0.000 0.000
0.500 0.500 0.000
0.702 0.000 0.500
0.702 0.702 0.500
0.181 0.361 0.000
0.181 0.819 0.000
0.361 0.181 0.000
0.639 0.819 0.000
0.819 0.181 0.000
0.819 0.639 0.000
```



(5)
Below is Al6Ru after structural relaxation, with properties calculated at the meta-GGA r2SCAN level.

Its total energy is -68.29 eV per formula unit.

```
Al6Ru
1.0
3.730 -3.260 0.000
3.730 3.260 0.000
0.000 0.000 8.913
Al Ru
12 2
Direct
0.021 0.617 0.250
0.143 0.857 0.598
0.143 0.857 0.902
0.319 0.319 0.000
0.319 0.319 0.500
0.383 0.979 0.250
0.617 0.021 0.750
0.681 0.681 0.000
0.681 0.681 0.500
0.857 0.143 0.098
0.857 0.143 0.402
0.979 0.383 0.750
0.465 0.535 0.750
0.535 0.465 0.250
```



(6)
Below is Dy5Ni2Sb after structural relaxation, with properties calculated at the meta-GGA r2SCAN level.

Its total energy is -214.23 eV per formula unit.

```
Dy5Ni2Sb
1.0
-3.814 3.814 6.596
3.814 -3.814 6.596
3.814 3.814 -6.596
Dy Ni Sb
10 4 2
Direct
0.000 0.000 0.000
0.020 0.520 0.812
0.208 0.020 0.500
0.292 0.792 0.812
0.480 0.292 0.500
0.500 0.500 0.000
0.520 0.708 0.500
0.708 0.208 0.188
0.792 0.980 0.500
0.980 0.480 0.188
0.130 0.370 0.500
0.370 0.870 0.240
0.630 0.130 0.760
0.870 0.630 0.500
0.250 0.250 0.000
0.750 0.750 0.000
```



(7)
Below is Mg3Ga after structural relaxation, with properties calculated at the meta-GGA r2SCAN level.

Its total energy is -24.12 eV per formula unit.

```
Mg3Ga
1.0
3.281 0.000 0.000
0.000 4.845 0.000
0.000 0.000 5.105
Mg Ga
3 1
Direct
0.000 0.000 0.000
0.000 0.500 0.364
0.500 0.000 0.513
0.500 0.500 0.862
```



(8)
Below is TiSb after structural relaxation, with properties calculated at the meta-GGA r2SCAN level.

Its total energy is -39.75 eV per formula unit.

```
TiSb
1.0
4.063 0.000 0.000
-2.031 3.519 0.000
0.000 0.000 6.170
Ti Sb
2 2
Direct
0.000 0.000 0.000
0.000 0.000 0.500
0.333 0.667 0.250
0.667 0.333 0.750
```



(9)
Below is Hf10VSb5 after structural relaxation, with properties calculated at the meta-GGA r2SCAN level.

Its total energy is -601.99 eV per formula unit.

```
Hf10VSb5
1.0
-5.496 5.496 2.789
5.496 -5.496 2.789
5.496 5.496 -2.789
Hf V Sb
10 1 5
Direct
0.000 0.500 0.500
0.021 0.160 0.708
0.160 0.452 0.139
0.313 0.021 0.861
0.452 0.313 0.292
0.500 0.000 0.500
0.548 0.840 0.861
0.687 0.548 0.708
0.840 0.979 0.292
0.979 0.687 0.139
0.000 0.000 0.000
0.086 0.914 0.500
0.414 0.586 0.500
0.500 0.500 0.000
0.586 0.086 0.173
0.914 0.414 0.827
```



(10)
Below is Ca3Eu after structural relaxation, with properties calculated at the meta-GGA r2SCAN level.

For the energy above the most stable polymorph in this dataset, the calculation gives 14 meV per atom. Its total energy is -59.51 eV per formula unit.

```
Ca3Eu
1.0
5.631 0.000 0.000
0.000 5.631 0.000
0.000 0.000 5.631
Ca Eu
3 1
Direct
0.000 0.000 0.500
0.000 0.500 0.000
0.500 0.000 0.000
0.500 0.500 0.500
```